30
Lattice="3.005 9.352 -0.013 -3.005 9.352 -0.013 0.000 2.910 7.315" Properties=species:S:1:pos:R:3 comment="Ba2Zn3F10 | Materials Project | r2SCAN | optimized geometry" dft_energy_ev_per_atom=-10.6077 pbc="T T T"
Zn -1.457 9.352 -0.013
Zn 0.000 18.637 3.288
Zn 0.000 15.469 0.123
Zn 1.457 9.352 -0.013
Zn 0.000 2.978 4.001
Zn 0.000 6.146 7.165
F 1.656 10.808 3.644
F -1.420 7.343 0.201
F -1.420 14.272 7.088
F 0.000 9.585 1.363
F -1.503 4.676 -0.007
F 0.000 2.765 5.990
F -1.656 10.808 3.644
F 1.562 7.937 3.470
F 1.503 4.676 -0.007
F 0.000 18.364 5.436
F -1.562 7.937 3.470
F 0.000 6.506 5.226
F 0.000 15.109 2.062
F 1.562 13.678 3.818
F 0.000 12.030 5.926
F 1.420 7.343 0.201
F 1.420 14.272 7.088
F 0.000 18.850 1.298
F -1.562 13.678 3.818
F 0.000 3.252 1.853
Ba 0.000 6.163 2.284
Ba 0.000 9.299 5.257
Ba 0.000 15.452 5.005
Ba 0.000 12.316 2.031